Material: Na5ZnSiSn3P5O24
Method: DFT, GGA-PBE
State: optimized geometry

Properties
The value obtained for the calculated density is 3.52 g/cm3. Its formation energy is -97.928 eV/f.u. The size of the total moment is 0.00 Bohr magnetons per cell. The calculation puts the total energy at -6.4765 eV/atom.

Unit cell a=8.9610 b=8.9553 c=22.4331 alpha=90.02 beta=89.97 gamma=119.93
Fractional coordinates of all 117 atoms:
O: 0.1699 0.9592 0.1986
O: 0.4538 0.3082 0.0273
O: 0.6455 0.1133 0.1443
O: 0.1870 0.1679 0.0874
O: 0.9846 0.8152 0.0883
O: 0.9717 0.1820 0.3066
O: 0.6877 0.1577 0.7462
O: 0.1705 0.4655 0.9701
O: 0.1715 0.4775 0.2554
O: 0.5234 0.6944 0.2564
O: 0.8257 0.0264 0.8031
O: 0.8566 0.4967 0.4231
O: 0.1477 0.6527 0.0781
O: 0.1680 0.2095 0.6968
O: 0.8213 0.8170 0.5876
O: 0.8470 0.3209 0.2444
O: 0.8200 0.7877 0.3066
O: 0.4705 0.3515 0.1424
O: 0.6366 0.1413 0.4215
O: 0.4587 0.1513 0.5229
O: 0.8429 0.3021 0.5313
O: 0.3141 0.4643 0.4714
O: 0.0408 0.8268 0.6950
O: 0.4730 0.1539 0.2453
O: 0.6445 0.5317 0.6442
O: 0.6998 0.5468 0.5303
O: 0.1083 0.4805 0.8525
O: 0.8914 0.3648 0.6443
O: 0.5370 0.7032 0.9727
O: 0.6899 0.1492 0.0303
O: 0.4935 0.1430 0.9232
O: 0.8287 0.0158 0.0875
O: 0.7837 0.8274 0.1955
O: 0.8078 0.9823 0.4130
O: 0.3018 0.8414 0.9696
O: 0.6316 0.4849 0.9234
O: 0.5039 0.3595 0.4207
O: 0.9736 0.7948 0.8056
O: 0.1455 0.4888 0.5772
O: 0.8461 0.5300 0.7456
O: 0.5015 0.8560 0.0791
O: 0.1119 0.6317 0.3580
O: 0.5250 0.8310 0.7551
O: 0.5170 0.6286 0.8544
O: 0.8524 0.5462 0.0304
O: 0.0432 0.2169 0.1952
O: 0.5418 0.8548 0.4745
O: 0.8202 0.8311 0.9130
O: 0.3499 0.4943 0.0800
O: 0.3077 0.8288 0.2559
O: 0.3554 0.8453 0.5773
O: 0.1807 0.1912 0.4138
O: 0.1786 0.0179 0.5855
O: 0.3034 0.4749 0.7540
O: 0.5104 0.8815 0.3620
O: 0.8439 0.3462 0.9226
O: 0.8905 0.5333 0.1440
O: 0.3636 0.4790 0.3585
O: 0.0336 0.1896 0.9111
O: 0.4840 0.1108 0.6434
O: 0.1775 0.9857 0.9107
O: 0.6794 0.5261 0.2437
O: 0.0235 0.8267 0.4128
O: 0.5045 0.6486 0.5778
O: 0.2086 0.1810 0.8077
O: 0.1565 0.6922 0.4698
O: 0.1745 0.7000 0.7549
O: 0.2154 0.0251 0.3108
O: 0.3660 0.8897 0.8566
O: 0.7834 0.9617 0.6919
O: 0.4694 0.3145 0.7453
O: 0.9678 0.1637 0.5887
Na: 0.3245 0.0322 0.4143
Na: 0.9883 0.3655 0.7481
Na: 0.3221 0.6609 0.6617
Na: 0.9815 0.9886 0.0020
Na: 0.3315 0.3061 0.9243
Na: 0.6778 0.3438 0.3301
Na: 0.0014 0.0006 0.4936
Na: 0.3335 0.6671 0.1606
Na: 0.6338 0.6212 0.7479
Na: 0.3802 0.0135 0.7433
Na: 0.6410 0.0131 0.2430
Na: 0.3732 0.3598 0.2430
Na: 0.6802 0.3387 0.8378
Na: 0.6621 0.9754 0.5835
Na: 0.9878 0.6291 0.2437
P: 0.3705 0.3322 0.0852
P: 0.3359 0.9604 0.9170
P: 0.9617 0.3357 0.5860
P: 0.7081 0.7088 0.2518
P: 0.0345 0.6631 0.4166
P: 0.0016 0.2927 0.2518
P: 0.0039 0.7098 0.7508
P: 0.6314 0.9636 0.4180
P: 0.6650 0.0367 0.0859
P: 0.2896 0.2927 0.7513
P: 0.2917 0.9986 0.2535
P: 0.3355 0.3722 0.4169
P: 0.6660 0.6273 0.5857
P: 0.9656 0.6317 0.0860
P: 0.7072 0.9980 0.7496
Sn: 0.6681 0.3379 0.4827
Sn: 0.6747 0.3371 0.9839
Sn: 0.0063 0.9997 0.6448
Sn: 0.3322 0.6644 0.3175
Sn: 0.9943 0.9955 0.8566
Sn: 0.3320 0.6652 0.8202
Sn: 0.3346 0.6658 0.0198
Sn: 0.3293 0.6623 0.5185
Sn: 0.9995 0.0009 0.1466
Zn: 0.6625 0.3306 0.6748
Zn: 0.9916 0.9989 0.3517
Zn: 0.6702 0.3349 0.1750
Si: 0.0357 0.3741 0.9163
Si: 0.3701 0.0376 0.5834
Si: 0.6281 0.6657 0.9178